1.
DFT (PBE) results for a geometry-optimized LaMgAg structure.

Calculated values
density	5661	kg/m³
symmetry	P-62m
calculated formation energy	-80	kJ/mol of formula units

Geometry as POSCAR:
```
LaMgAg
1.0
7.9201 0.0000 0.0000
-3.9600 6.8590 0.0000
0.0000 0.0000 4.3909
La Mg Ag
3 3 3
Cartesian
-2.3178 4.0145 0.0000
1.6423 2.8445 0.0000
4.6355 0.0000 0.0000
-0.9472 1.6406 2.1955
1.8945 0.0000 2.1955
3.0128 5.2184 2.1955
0.0000 0.0000 0.0000
0.0000 4.5727 2.1955
3.9601 2.2863 2.1955
```

2.
DFT (PBE) results for a geometry-optimized Pr2AlGe6 structure.

Calculated values
density	6268	kg/m³
symmetry	C2/m
calculated formation energy	-394	kJ/mol of formula units

Geometry as POSCAR:
```
Pr2AlGe6
1.0
4.2225 -4.4126 0.0000
4.2225 4.4126 0.0000
-2.1502 0.0000 10.5872
Pr Al Ge
4 2 12
Cartesian
2.0736 2.2228 7.0193
4.2212 2.2228 3.5679
2.0736 -2.2228 7.0193
4.2212 -2.2228 3.5679
-0.0389 0.0000 8.5207
6.3337 0.0000 2.0665
2.1096 1.8844 1.2106
0.3379 0.0000 1.2066
0.0271 0.0000 5.9660
2.1435 0.0000 4.4343
3.8803 0.0000 1.2104
2.1096 -1.8844 1.2106
4.1852 1.8844 9.3767
2.4146 0.0000 9.3769
4.1513 0.0000 6.1529
6.2677 0.0000 4.6212
5.9570 0.0000 9.3806
4.1852 -1.8844 9.3767
```

3.
DFT (PBE) results for a geometry-optimized HfBrN structure.

Calculated values
density	7685	kg/m³
symmetry	R-3m
calculated formation energy	-526	kJ/mol of formula units

Geometry as POSCAR:
```
HfBrN
1.0
1.8168 1.0489 10.2947
-1.8168 1.0489 10.2947
0.0000 -2.0979 10.2947
Hf Br N
2 2 2
Cartesian
0.0000 0.0000 6.4369
0.0000 0.0000 24.4471
0.0000 0.0000 12.1656
0.0000 0.0000 18.7184
0.0000 0.0000 4.2790
0.0000 0.0000 26.6050
```

4.
DFT (PBE) results for a geometry-optimized U2Fe12P7 structure.

Calculated values
density	8928	kg/m³
symmetry	P-6
calculated formation energy	-1379	kJ/mol of formula units

Geometry as POSCAR:
```
U2Fe12P7
1.0
9.0096 0.0000 0.0000
-4.5048 7.8026 0.0000
0.0000 0.0000 3.6062
U Fe P
2 12 7
Cartesian
0.0000 0.0000 0.0000
0.0000 5.2017 1.8031
-3.0718 6.0442 1.8031
-0.8595 3.1433 0.0000
0.8063 2.1202 1.8031
-1.3529 6.9753 0.0000
2.5933 1.6259 0.0000
4.4312 0.8165 1.8031
2.9963 3.5569 1.8031
2.2124 5.4866 0.0000
2.2655 7.4408 1.8031
6.3049 1.4330 0.0000
4.6162 4.7438 0.0000
6.0870 3.4293 1.8031
-2.2220 4.9139 0.0000
2.2426 0.3197 1.8031
1.3603 3.4214 0.0000
0.8617 7.2699 0.0000
4.5048 2.6009 0.0000
3.6604 5.7005 1.8031
7.6114 1.7823 1.8031
```